! Os3F (GGA-PBE, optimized geometry); values from VASP
! - E_form: 355 meV/atom
! - Crystal system: cubic
&SYSTEM
  ibrav = 0, nat = 4, ntyp = 2
/
ATOMIC_SPECIES
Os 190.23 Os.upf
F 19.00 F.upf
ATOMIC_POSITIONS angstrom
Os -3.226 -6.984 -1.334
Os -1.075 -2.328 -0.445
Os -2.151 -4.656 -0.889
F 0.000 0.000 0.000
CELL_PARAMETERS angstrom
-0.426 -3.964 1.473
-3.665 -2.084 -0.537
-0.210 -3.264 -2.714

---

! KSe (GGA-PBE, optimized geometry); values from VASP
! - E_form: -1178 meV/atom
! - Crystal system: hexagonal
! - Largest piezoelectric modulus: 0.060 C/m²
&SYSTEM
  ibrav = 0, nat = 12, ntyp = 2
/
ATOMIC_SPECIES
K 39.10 K.upf
Se 78.96 Se.upf
ATOMIC_POSITIONS angstrom
K 1.241 0.342 -2.889
K 2.143 5.203 -1.678
K -0.087 2.461 1.985
K -0.317 1.446 -6.727
K -1.698 3.312 -1.902
K -2.910 5.585 2.791
Se -4.387 1.247 -1.737
Se -1.095 0.311 -0.433
Se -1.561 4.086 -5.133
Se 0.640 3.460 -4.261
Se -0.624 5.478 0.380
Se -2.825 6.103 -0.491
CELL_PARAMETERS angstrom
-5.482 1.558 -2.170
-0.247 7.029 5.671
3.545 0.976 -8.253